No. 1
VASP calculation (PBE) on crystalline SnMo12PbS16 at its relaxed geometry.

Lattice parameters (Å, degrees): 6.5640 6.5697 13.2125 89.28 89.17 89.24
With the nearest neighbours (Å) after each atom.
Fractional positions:
S  0.7586  0.7570  0.3791  3 Mo 2.39-2.41
S  0.7403  0.3817  0.5632  4 Mo 2.44-2.55
S  0.2432  0.2446  0.1222  3 Mo 2.38-2.40
S  0.2597  0.6183  0.4368  4 Mo 2.44-2.55
S  0.1271  0.7411  0.1916  4 Mo 2.44-2.56
S  0.6166  0.8726  0.1295  4 Mo 2.44-2.58
S  0.2414  0.2430  0.6209  3 Mo 2.39-2.41
S  0.6188  0.8722  0.6286  4 Mo 2.44-2.58
S  0.8735  0.2577  0.3098  4 Mo 2.44-2.57
S  0.7568  0.7554  0.8778  3 Mo 2.38-2.40
S  0.1265  0.7423  0.6902  4 Mo 2.44-2.57
S  0.3834  0.1274  0.8705  4 Mo 2.44-2.58
S  0.3812  0.1278  0.3714  4 Mo 2.44-2.58
S  0.7396  0.3842  0.0636  4 Mo 2.44-2.56
S  0.8729  0.2589  0.8084  4 Mo 2.44-2.56
S  0.2604  0.6158  0.9364  4 Mo 2.44-2.56
Mo  0.5863  0.4376  0.8880  5 S 2.38-2.56
Mo  0.4136  0.5618  0.6115  5 S 2.39-2.55
Mo  0.4383  0.7732  0.2925  5 S 2.41-2.58, 1 Mo 2.68
Mo  0.4137  0.5624  0.1120  5 S 2.38-2.56
Mo  0.5864  0.4382  0.3885  5 S 2.39-2.55
Mo  0.7733  0.5848  0.7186  5 S 2.40-2.57
Mo  0.7740  0.5857  0.2195  5 S 2.40-2.56, 1 Mo 2.68
Mo  0.2267  0.4152  0.2814  5 S 2.40-2.57
Mo  0.5617  0.2268  0.7075  5 S 2.41-2.58, 1 Mo 2.68
Mo  0.2260  0.4143  0.7805  5 S 2.40-2.56, 1 Mo 2.68
Mo  0.5629  0.2274  0.2082  5 S 2.40-2.58, 1 Mo 2.69
Mo  0.4371  0.7726  0.7918  5 S 2.40-2.58, 1 Mo 2.69
Pb  0.0000  0.0000  0.0000  8 S 2.82-3.15
Sn  0.0000  0.0000  0.5000  8 S 2.80-3.13

Computed properties:
Crystal system ... triclinic
Calculated volume ... 569.6 Å³/cell
E_form ... -0.92 eV/atom

***

No. 2
VASP calculation (PBE) on crystalline Mo15Pb2Se19 at its relaxed geometry.

Lattice parameters (Å, degrees): 20.0320 20.0320 20.0320 28.44 28.44 28.44
With the nearest neighbours (Å) after each atom.
Fractional positions:
Mo  0.6267  0.5002  0.3138  5 Se 2.57-2.66, 4 Mo 2.68-2.76
Mo  0.8733  0.1862  0.9998  5 Se 2.57-2.66, 4 Mo 2.68-2.76
Mo  0.1404  0.4504  0.2773  5 Se 2.56-2.73, 4 Mo 2.65-2.80
Mo  0.9998  0.8733  0.1862  5 Se 2.57-2.66, 4 Mo 2.68-2.76
Mo  0.2500  0.4088  0.0912  4 Se 2.57-2.62, 6 Mo 2.69-2.80
Mo  0.3138  0.6267  0.5002  5 Se 2.57-2.66, 4 Mo 2.68-2.76
Mo  0.8138  0.0002  0.1267  5 Se 2.57-2.66, 4 Mo 2.68-2.76
Mo  0.5496  0.7227  0.8596  5 Se 2.56-2.73, 4 Mo 2.65-2.80
Mo  0.7227  0.8596  0.5496  5 Se 2.56-2.73, 4 Mo 2.65-2.80
Mo  0.9504  0.6404  0.7773  5 Se 2.56-2.73, 4 Mo 2.65-2.80
Mo  0.3733  0.4998  0.6862  5 Se 2.57-2.66, 4 Mo 2.68-2.76
Mo  0.4998  0.6862  0.3733  5 Se 2.57-2.66, 4 Mo 2.68-2.76
Mo  0.7500  0.5912  0.9088  4 Se 2.57-2.62, 6 Mo 2.69-2.80
Mo  0.7773  0.9504  0.6404  5 Se 2.56-2.73, 4 Mo 2.65-2.80
Mo  0.0912  0.2500  0.4088  4 Se 2.57-2.62, 6 Mo 2.69-2.80
Mo  0.5912  0.9088  0.7500  4 Se 2.57-2.62, 6 Mo 2.69-2.80
Mo  0.0496  0.3596  0.2227  5 Se 2.56-2.73, 4 Mo 2.65-2.80
Mo  0.5002  0.3138  0.6267  5 Se 2.57-2.66, 4 Mo 2.68-2.76
Mo  0.8596  0.5496  0.7227  5 Se 2.56-2.73, 4 Mo 2.65-2.80
Mo  0.9088  0.7500  0.5912  4 Se 2.57-2.62, 6 Mo 2.69-2.80
Mo  0.4504  0.2773  0.1404  5 Se 2.56-2.73, 4 Mo 2.65-2.80
Mo  0.2227  0.0496  0.3596  5 Se 2.56-2.73, 4 Mo 2.65-2.80
Mo  0.2773  0.1404  0.4504  5 Se 2.56-2.73, 4 Mo 2.65-2.80
Mo  0.6404  0.7773  0.9504  5 Se 2.56-2.73, 4 Mo 2.65-2.80
Mo  0.0002  0.1267  0.8138  5 Se 2.57-2.66, 4 Mo 2.68-2.76
Mo  0.1862  0.9998  0.8733  5 Se 2.57-2.66, 4 Mo 2.68-2.76
Mo  0.6862  0.3733  0.4998  5 Se 2.57-2.66, 4 Mo 2.68-2.76
Mo  0.1267  0.8138  0.0002  5 Se 2.57-2.66, 4 Mo 2.68-2.76
Mo  0.3596  0.2227  0.0496  5 Se 2.56-2.73, 4 Mo 2.65-2.80
Mo  0.4088  0.0912  0.2500  4 Se 2.57-2.62, 6 Mo 2.69-2.80
Se  0.3008  0.6923  0.0575  4 Mo 2.57-2.70
Se  0.1771  0.5436  0.9217  4 Mo 2.57-2.73
Se  0.4217  0.0436  0.6771  4 Mo 2.57-2.73
Se  0.9564  0.3229  0.5783  4 Mo 2.57-2.73
Se  0.4431  0.7500  0.0569  4 Mo 2.62-2.72
Se  0.6992  0.3077  0.9425  4 Mo 2.57-2.70
Se  0.5575  0.1923  0.8008  4 Mo 2.57-2.70
Se  0.4564  0.0783  0.8229  4 Mo 2.57-2.73
Se  0.1992  0.4425  0.8077  4 Mo 2.57-2.70
Se  0.6923  0.0575  0.3008  4 Mo 2.57-2.70
Se  0.4425  0.8077  0.1992  4 Mo 2.57-2.70
Se  0.9425  0.6992  0.3077  4 Mo 2.57-2.70
Se  0.2500  0.9431  0.5569  4 Mo 2.62-2.72
Se  0.8250  0.8250  0.8250  3 Mo 2.56
Se  0.5436  0.9217  0.1771  4 Mo 2.57-2.73
Se  0.8229  0.4564  0.0783  4 Mo 2.57-2.73
Se  0.0554  0.0554  0.0554  3 Mo 2.57
Se  0.3250  0.3250  0.3250  3 Mo 2.56
Se  0.6771  0.4217  0.0436  4 Mo 2.57-2.73
Se  0.3229  0.5783  0.9564  4 Mo 2.57-2.73
Se  0.6750  0.6750  0.6750  3 Mo 2.56
Se  0.9446  0.9446  0.9446  3 Mo 2.57
Se  0.5783  0.9564  0.3229  4 Mo 2.57-2.73
Se  0.1923  0.8008  0.5575  4 Mo 2.57-2.70
Se  0.9431  0.5569  0.2500  4 Mo 2.62-2.72
Se  0.8077  0.1992  0.4425  4 Mo 2.57-2.70
Se  0.8008  0.5575  0.1923  4 Mo 2.57-2.70
Se  0.0436  0.6771  0.4217  4 Mo 2.57-2.73
Se  0.7500  0.0569  0.4431  4 Mo 2.62-2.72
Se  0.9217  0.1771  0.5436  4 Mo 2.57-2.73
Se  0.5554  0.5554  0.5554  3 Mo 2.57
Se  0.4446  0.4446  0.4446  3 Mo 2.57
Se  0.0569  0.4431  0.7500  4 Mo 2.62-2.72
Se  0.0783  0.8229  0.4564  4 Mo 2.57-2.73
Se  0.0575  0.3008  0.6923  4 Mo 2.57-2.70
Se  0.5569  0.2500  0.9431  4 Mo 2.62-2.72
Se  0.1750  0.1750  0.1750  3 Mo 2.56
Se  0.3077  0.9425  0.6992  4 Mo 2.57-2.70
Pb  0.3837  0.3837  0.3837  5 Se 3.14-3.51
Pb  0.6163  0.6163  0.6163  5 Se 3.14-3.51
Pb  0.1163  0.1163  0.1163  5 Se 3.14-3.51
Pb  0.8837  0.8837  0.8837  5 Se 3.14-3.51

Computed properties:
Crystal system ... trigonal
Calculated volume ... 1611.8 Å³/cell
E_form ... -0.74 eV/atom

***

No. 3
VASP calculation (PBE) on crystalline MoPd3 at its relaxed geometry.

Lattice parameters (Å, degrees): 9.2729 9.2729 9.2729 17.34 17.34 17.34
With the nearest neighbours (Å) after each atom.
Fractional positions:
Pd  0.7479  0.7479  0.7479  3 Mo 2.75, 9 Pd 2.80-2.84
Pd  0.5000  0.5000  0.5000  12 Pd 2.80-2.84
Pd  0.2521  0.2521  0.2521  3 Mo 2.75, 9 Pd 2.80-2.84
Mo  0.0000  0.0000  0.0000  6 Pd 2.75, 6 Mo 2.80

Computed properties:
Crystal system ... trigonal
Calculated volume ... 61.8 Å³/cell
E_form ... -0.03 eV/atom

***

No. 4
VASP calculation (PBE) on crystalline Mo3Pd at its relaxed geometry.

Lattice parameters (Å, degrees): 3.9693 3.9693 3.9693 90.00 90.00 90.00
With the nearest neighbours (Å) after each atom.
Fractional positions:
Pd  0.0000  0.0000  0.0000  12 Mo 2.81
Mo  0.0000  0.5000  0.5000  8 Mo 2.81, 4 Pd 2.81
Mo  0.5000  0.0000  0.5000  8 Mo 2.81, 4 Pd 2.81
Mo  0.5000  0.5000  0.0000  8 Mo 2.81, 4 Pd 2.81

Computed properties:
Crystal system ... cubic
Calculated volume ... 62.5 Å³/cell
E_form ... 0.11 eV/atom

***

No. 5
VASP calculation (PBE) on crystalline MoPd at its relaxed geometry.

Lattice parameters (Å, degrees): 4.9134 4.9134 4.9134 32.81 32.81 32.81
With the nearest neighbours (Å) after each atom.
Fractional positions:
Pd  0.5000  0.5000  0.5000  6 Pd 2.78, 6 Mo 2.82
Mo  0.0000  0.0000  0.0000  6 Mo 2.78, 6 Pd 2.82

Computed properties:
Crystal system ... trigonal
Calculated volume ... 31.0 Å³/cell
E_form ... 0.09 eV/atom

***

No. 6
VASP calculation (PBE) on crystalline MoPd at its relaxed geometry.

Lattice parameters (Å, degrees): 2.7939 2.7939 4.5664 90.00 90.00 120.00
With the nearest neighbours (Å) after each atom.
Fractional positions:
Mo  0.6667  0.3333  0.5000  6 Mo 2.79, 6 Pd 2.80
Pd  0.3333  0.6667  0.0000  6 Pd 2.79, 6 Mo 2.80

Computed properties:
Crystal system ... hexagonal
Calculated volume ... 30.9 Å³/cell
E_form ... 0.04 eV/atom

***

No. 7
VASP calculation (PBE) on crystalline MoPd4 at its relaxed geometry.

Lattice parameters (Å, degrees): 11.5348 11.5348 11.5348 13.92 13.92 13.92
With the nearest neighbours (Å) after each atom.
Fractional positions:
Pd  0.6018  0.6018  0.6018  3 Mo 2.75, 9 Pd 2.80-2.84
Pd  0.7996  0.7996  0.7996  12 Pd 2.80-2.84
Pd  0.2004  0.2004  0.2004  12 Pd 2.80-2.84
Pd  0.3982  0.3982  0.3982  3 Mo 2.75, 9 Pd 2.80-2.84
Mo  0.0000  0.0000  0.0000  6 Pd 2.75, 6 Mo 2.80

Computed properties:
Crystal system ... trigonal
Calculated volume ... 77.3 Å³/cell
E_form ... -0.05 eV/atom

***

No. 8
VASP calculation (PBE) on crystalline Mo2PdRh2 at its relaxed geometry.

Lattice parameters (Å, degrees): 2.7782 2.7782 22.4824 90.00 90.00 120.00
With the nearest neighbours (Å) after each atom.
Fractional positions:
Mo  0.0000  0.0000  0.7488  6 Rh 2.74, 6 Mo 2.78
Mo  0.6667  0.3333  0.0525  3 Pd 2.72, 9 Mo 2.78-2.89
Mo  0.0000  0.0000  0.9453  3 Rh 2.72, 9 Mo 2.78-2.89
Mo  0.0000  0.0000  0.5483  6 Rh 2.65-2.79, 6 Mo 2.78
Pd  0.0000  0.0000  0.3510  6 Rh 2.75-2.82, 6 Pd 2.78
Pd  0.0000  0.0000  0.1503  3 Mo 2.72, 6 Pd 2.78, 3 Rh 2.79
Rh  0.6667  0.3333  0.8478  6 Mo 2.72-2.74, 6 Rh 2.78
Rh  0.6667  0.3333  0.2517  6 Pd 2.75-2.79, 6 Rh 2.78
Rh  0.6667  0.3333  0.6501  6 Mo 2.74-2.79, 6 Rh 2.78
Rh  0.6667  0.3333  0.4543  3 Mo 2.65, 6 Rh 2.78, 3 Pd 2.82

Computed properties:
Crystal system ... trigonal
Calculated volume ... 150.3 Å³/cell
E_form ... -0.01 eV/atom

***

No. 9
VASP calculation (PBE) on crystalline MoPdRuRh at its relaxed geometry.

Lattice parameters (Å, degrees): 2.7794 2.7794 8.9173 90.00 90.00 120.00
With the nearest neighbours (Å) after each atom.
Fractional positions:
Ru  0.0000  0.0000  0.3839  3 Mo 2.67, 6 Ru 2.78, 3 Pd 2.79
Rh  0.0000  0.0000  0.8656  3 Mo 2.69, 6 Rh 2.78, 3 Pd 2.83
Mo  0.6667  0.3333  0.6230  3 Ru 2.67, 3 Rh 2.69, 6 Mo 2.78
Pd  0.6667  0.3333  0.1274  6 Pd 2.78, 3 Ru 2.79, 3 Rh 2.83

Computed properties:
Crystal system ... trigonal
Calculated volume ... 59.7 Å³/cell
E_form ... -0.03 eV/atom

***

No. 10
VASP calculation (PBE) on crystalline MoPdRu2 at its relaxed geometry.

Lattice parameters (Å, degrees): 2.7734 2.7734 8.8947 90.00 90.00 120.00
With the nearest neighbours (Å) after each atom.
Fractional positions:
Mo  0.3333  0.6667  0.0000  6 Ru 2.68, 6 Mo 2.77
Ru  0.0000  0.0000  0.7578  3 Mo 2.68, 6 Ru 2.77, 3 Pd 2.80
Ru  0.0000  0.0000  0.2422  3 Mo 2.68, 6 Ru 2.77, 3 Pd 2.80
Pd  0.3333  0.6667  0.5000  6 Pd 2.77, 6 Ru 2.80

Computed properties:
Crystal system ... hexagonal
Calculated volume ... 59.3 Å³/cell
E_form ... 0.08 eV/atom

***

No. 11
VASP calculation (PBE) on crystalline Ti2MoPd at its relaxed geometry.

Lattice parameters (Å, degrees): 4.4599 4.4599 4.4599 60.00 60.00 60.00
With the nearest neighbours (Å) after each atom.
Fractional positions:
Pd  0.0000  0.0000  0.0000  8 Ti 2.73
Mo  0.5000  0.5000  0.5000  8 Ti 2.73
Ti  0.2500  0.2500  0.2500  4 Mo 2.73, 4 Pd 2.73
Ti  0.7500  0.7500  0.7500  4 Mo 2.73, 4 Pd 2.73

Computed properties:
Crystal system ... cubic
Calculated volume ... 62.7 Å³/cell
E_form ... -0.39 eV/atom

***

No. 12
VASP calculation (PBE) on crystalline PrMo3 at its relaxed geometry.

Lattice parameters (Å, degrees): 6.8066 6.8066 4.4278 90.00 90.00 120.00
With the nearest neighbours (Å) after each atom.
Fractional positions:
Pr  0.6667  0.3333  0.2500  12 Mo 3.27-3.43
Pr  0.3333  0.6667  0.7500  12 Mo 3.27-3.43
Mo  0.8702  0.7405  0.7500  6 Mo 2.65-2.69
Mo  0.1298  0.8702  0.2500  6 Mo 2.65-2.69
Mo  0.8702  0.1298  0.7500  6 Mo 2.65-2.69
Mo  0.1298  0.2595  0.2500  6 Mo 2.65-2.69
Mo  0.7405  0.8702  0.2500  6 Mo 2.65-2.69
Mo  0.2595  0.1298  0.7500  6 Mo 2.65-2.69

Computed properties:
Crystal system ... hexagonal
Calculated volume ... 177.7 Å³/cell
E_form ... 0.57 eV/atom

***

- Which value of calculated volume does entry 9 give?
  59.7 Å³/cell

***

- Which value of calculated volume does entry 7 give?
  77.3 Å³/cell

***

- Which value of E_form does entry 6 give?
  0.04 eV/atom

***

- The lowest calculated volume belongs to which entry?
  number 6